[1]
DFT (PBE+U) results for a relaxed Na4TeMo6H40N2O40 crystal.

Values from the calculation:
Formation energy in eV per atom: -0.98
M_tot in μB/f.u.: 4.9
Energy relative to the lowest polymorph listed for this composition in eV per atom: 0.483

a b c (Å): 10.909 11.419 11.486
angles (deg): 99.29 108.86 117.45
Space group P-1 (No. 2)
Asymmetric unit:
Na (0.121, 0.453, 0.116) x2
Na (0.158, 0.096, 0.345) x2
Te (0.500, 0.000, 0.000) x1
Mo (0.214, 0.719, 0.550) x2
Mo (0.391, 0.091, 0.719) x2
Mo (0.408, 0.631, 0.944) x2
H (0.082, 0.090, 0.060) x2
H (0.084, 0.635, 0.687) x2
H (0.103, 0.104, 0.600) x2
H (0.104, 0.330, 0.405) x2
H (0.148, 0.759, 0.216) x2
H (0.165, 0.344, 0.630) x2
H (0.216, 0.377, 0.326) x2
H (0.227, 0.987, 0.865) x2
H (0.235, 0.734, 0.046) x2
H (0.275, 0.047, 0.057) x2
H (0.282, 0.199, 0.844) x2
H (0.303, 0.452, 0.883) x2
H (0.303, 0.583, 0.647) x2
H (0.342, 0.331, 0.448) x2
H (0.354, 0.634, 0.136) x2
H (0.367, 0.977, 0.352) x2
H (0.390, 0.549, 0.353) x2
H (0.416, 0.080, 0.197) x2
H (0.416, 0.437, 0.144) x2
H (0.460, 0.356, 0.394) x2
N (0.063, 0.653, 0.599) x2
O (0.025, 0.097, 0.115) x2
O (0.041, 0.025, 0.621) x2
O (0.124, 0.034, 0.957) x2
O (0.127, 0.701, 0.386) x2
O (0.128, 0.782, 0.135) x2
O (0.133, 0.675, 0.048) x2
O (0.165, 0.306, 0.371) x2
O (0.275, 0.074, 0.567) x2
O (0.280, 0.606, 0.790) x2
O (0.292, 0.966, 0.833) x2
O (0.304, 0.612, 0.570) x2
O (0.309, 0.554, 0.053) x2
O (0.315, 0.465, 0.272) x2
O (0.381, 0.913, 0.664) x2
O (0.383, 0.234, 0.845) x2
O (0.391, 0.087, 0.110) x2
O (0.395, 0.805, 0.024) x2
O (0.419, 0.307, 0.447) x2
O (0.426, 0.789, 0.263) x2
O (0.445, 0.388, 0.090) x2



[2]
DFT (PBE+U) results for a relaxed KSrEuWO6 crystal.

Values from the calculation:
Formation energy in eV per atom: -2.70
M_tot in μB/f.u.: 6.0
Energy relative to the lowest polymorph listed for this composition in eV per atom: 0.017

a b c (Å): 8.482 8.482 8.482
angles (deg): 90.00 90.00 90.00
Space group F-43m (No. 216)
Asymmetric unit:
K (0.000, 0.000, 0.000) x4
Sr (0.000, 0.000, 0.500) x4
Eu (0.250, 0.250, 0.750) x4
W (0.250, 0.250, 0.250) x4
O (0.020, 0.250, 0.250) x24



[3]
DFT (PBE+U) results for a relaxed KMnO3 crystal.

Values from the calculation:
Formation energy in eV per atom: -1.48
M_tot in μB/f.u.: 2.0

a b c (Å): 3.956 3.956 3.956
angles (deg): 90.00 90.00 90.00
Space group Pm-3m (No. 221)
Asymmetric unit:
K (0.000, 0.000, 0.000) x1
Mn (0.500, 0.500, 0.500) x1
O (0.000, 0.500, 0.500) x3



[4]
DFT (PBE+U) results for a relaxed Na3CoBPO7 crystal.

Values from the calculation:
Formation energy in eV per atom: -2.31
M_tot in μB/f.u.: 0.4
Energy relative to the lowest polymorph listed for this composition in eV per atom: 0.018

a b c (Å): 5.186 8.872 13.528
angles (deg): 89.97 89.99 88.45
Space group P1 (No. 1)
Asymmetric unit:
Na (0.000, 0.000, 0.000) x1
Na (0.000, 0.002, 0.261) x1
Na (0.006, 0.009, 0.755) x1
Na (0.006, 0.010, 0.503) x1
Na (0.015, 0.348, 0.628) x1
Na (0.025, 0.348, 0.132) x1
Na (0.485, 0.185, 0.877) x1
Na (0.490, 0.187, 0.382) x1
Na (0.504, 0.527, 0.253) x1
Na (0.506, 0.525, 0.507) x1
Na (0.509, 0.531, 0.749) x1
Na (0.510, 0.532, 0.009) x1
Co (0.031, 0.609, 0.381) x1
Co (0.037, 0.604, 0.879) x1
Co (0.474, 0.929, 0.131) x1
Co (0.479, 0.925, 0.629) x1
B (0.513, 0.201, 0.630) x1
B (0.530, 0.196, 0.130) x1
B (0.981, 0.338, 0.880) x1
B (0.991, 0.334, 0.379) x1
P (0.533, 0.848, 0.382) x1
P (0.535, 0.844, 0.878) x1
P (0.975, 0.690, 0.131) x1
P (0.977, 0.686, 0.628) x1
O (0.037, 0.587, 0.041) x1
O (0.037, 0.592, 0.224) x1
O (0.045, 0.585, 0.719) x1
O (0.046, 0.590, 0.535) x1
O (0.129, 0.834, 0.630) x1
O (0.131, 0.836, 0.130) x1
O (0.217, 0.410, 0.882) x1
O (0.231, 0.399, 0.379) x1
O (0.274, 0.135, 0.631) x1
O (0.292, 0.124, 0.130) x1
O (0.379, 0.697, 0.879) x1
O (0.380, 0.699, 0.380) x1
O (0.463, 0.949, 0.292) x1
O (0.465, 0.944, 0.475) x1
O (0.470, 0.947, 0.968) x1
O (0.472, 0.941, 0.785) x1
O (0.560, 0.345, 0.129) x1
O (0.560, 0.349, 0.630) x1
O (0.679, 0.736, 0.130) x1
O (0.681, 0.726, 0.629) x1
O (0.714, 0.088, 0.630) x1
O (0.728, 0.084, 0.130) x1
O (0.784, 0.450, 0.879) x1
O (0.792, 0.447, 0.379) x1
O (0.828, 0.807, 0.381) x1
O (0.830, 0.799, 0.879) x1
O (0.944, 0.185, 0.380) x1
O (0.950, 0.189, 0.880) x1



[5]
DFT (PBE+U) results for a relaxed Mn3O2F4 crystal.

Values from the calculation:
Formation energy in eV per atom: -2.53
M_tot in μB/f.u.: 13.0
Energy relative to the lowest polymorph listed for this composition in eV per atom: 0.015

a b c (Å): 4.791 5.774 7.992
angles (deg): 87.21 87.79 89.60
Space group P-1 (No. 2)
Asymmetric unit:
Mn (0.000, 0.000, 0.000) x1
Mn (0.031, 0.668, 0.318) x2
Mn (0.454, 0.169, 0.325) x2
Mn (0.500, 0.500, 0.000) x1
O (0.176, 0.949, 0.215) x2
O (0.302, 0.473, 0.213) x2
F (0.186, 0.617, 0.577) x2
F (0.224, 0.298, 0.906) x2
F (0.287, 0.798, 0.899) x2
F (0.290, 0.135, 0.575) x2



[6]
DFT (PBE+U) results for a relaxed MgTiV4CoO12 crystal.

Values from the calculation:
Formation energy in eV per atom: -2.49
M_tot in μB/f.u.: 7.0
Energy relative to the lowest polymorph listed for this composition in eV per atom: 0.000

a b c (Å): 10.731 8.593 5.777
angles (deg): 90.00 110.98 90.00
Space group C2 (No. 5)
Asymmetric unit:
Mg (0.000, 0.000, 0.000) x2
Ti (0.000, 0.626, 0.000) x2
V (0.222, 0.110, 0.539) x4
V (0.225, 0.312, 0.064) x4
Co (0.000, 0.802, 0.500) x2
O (0.087, 0.822, 0.891) x4
O (0.106, 0.635, 0.376) x4
O (0.130, 0.499, 0.975) x4
O (0.140, 0.151, 0.211) x4
O (0.158, 0.214, 0.724) x4
O (0.186, 0.914, 0.563) x4



no.,V (Å³/cell)
1,1116
2,610
3,62
4,622
5,221
6,497